Entry 1:
This record from the Materials Project database describes a relaxed structure of U3Sb4Pt3. The functional is PBE.

- energy of formation from the pure elements (eV per atom) = -0.61
- final energy (eV per atom) = -7.47

Lattice parameters (Å, degrees): 9.760 9.760 9.760 90.00 90.00 90.00
Space group I-43d (No. 220)
Symmetry-distinct sites (fractional):
U 0.000 0.250 0.875
Sb 0.089 0.411 0.589
Pt 0.000 0.250 0.375


Entry 2:
This record from the Materials Project database describes a relaxed structure of ZrAl6Fe6. The functional is PBE.

- energy of formation from the pure elements (eV per atom) = -0.40
- final energy (eV per atom) = -6.70

Lattice parameters (Å, degrees): 4.955 8.420 8.541 90.00 90.00 90.00
Space group Immm (No. 71)
Symmetry-distinct sites (fractional):
Zr 0.000 0.000 0.000
Al 0.000 0.000 0.344
Al 0.000 0.335 0.000
Al 0.000 0.500 0.314
Fe 0.000 0.260 0.500
Fe 0.250 0.250 0.250


Entry 3:
This record from the Materials Project database describes a relaxed structure of Na10Mg4In4Si3S9O48. The functional is PBE.

- energy of formation from the pure elements (eV per atom) = -2.28
- final energy (eV per atom) = -5.98

Lattice parameters (Å, degrees): 9.065 15.608 22.710 91.51 90.01 90.13
Space group P1 (No. 1)
Symmetry-distinct sites (fractional):
Na 0.000 0.000 0.000
Na 0.001 0.335 0.659
Na 0.126 0.180 0.587
Na 0.128 0.838 0.919
Na 0.145 0.518 0.254
Na 0.156 0.844 0.421
Na 0.161 0.174 0.093
Na 0.166 0.517 0.754
Na 0.290 0.333 0.162
Na 0.294 0.998 0.497
Na 0.329 0.696 0.508
Na 0.459 0.197 0.012
Na 0.474 0.827 0.008
Na 0.477 0.160 0.673
Na 0.502 0.835 0.659
Na 0.618 0.351 0.921
Na 0.626 0.680 0.586
Na 0.631 0.025 0.252
Na 0.640 0.347 0.418
Na 0.645 0.672 0.090
Na 0.665 0.016 0.753
Na 0.785 0.833 0.163
Na 0.786 0.500 0.490
Na 0.825 0.196 0.508
Na 0.828 0.528 0.179
Na 0.960 0.363 0.343
Na 0.960 0.697 0.011
Na 0.976 0.660 0.673
Na 0.978 0.330 0.007
Na 0.999 0.667 0.325
Mg 0.129 0.170 0.734
Mg 0.132 0.837 0.071
Mg 0.136 0.502 0.401
Mg 0.155 0.501 0.900
Mg 0.157 0.837 0.569
Mg 0.158 0.167 0.233
Mg 0.624 0.338 0.069
Mg 0.629 0.669 0.734
Mg 0.638 0.000 0.401
Mg 0.653 0.671 0.236
Mg 0.654 0.002 0.900
Mg 0.656 0.338 0.568
In 0.146 0.179 0.434
In 0.147 0.835 0.768
In 0.148 0.837 0.265
In 0.149 0.180 0.930
In 0.151 0.509 0.100
In 0.155 0.503 0.599
In 0.642 0.337 0.269
In 0.643 0.008 0.103
In 0.645 0.677 0.431
In 0.646 0.674 0.931
In 0.647 0.335 0.768
In 0.656 0.002 0.598
Si 0.296 0.688 0.666
Si 0.297 0.360 0.000
Si 0.493 0.189 0.167
Si 0.496 0.858 0.501
Si 0.795 0.524 0.334
Si 0.795 0.860 0.001
Si 0.796 0.188 0.665
Si 0.992 0.689 0.167
Si 0.993 0.357 0.501
S 0.002 0.989 0.168
S 0.288 0.990 0.669
S 0.291 0.322 0.334
S 0.293 0.656 0.999
S 0.294 0.025 0.335
S 0.347 0.675 0.335
S 0.349 0.006 0.998
S 0.353 0.339 0.669
S 0.442 0.505 0.499
S 0.442 0.838 0.167
S 0.447 0.171 0.833
S 0.496 0.824 0.835
S 0.497 0.524 0.834
S 0.498 0.154 0.501
S 0.500 0.490 0.169
S 0.788 0.490 0.669
S 0.793 0.154 0.999
S 0.795 0.827 0.333
S 0.848 0.506 0.000
S 0.851 0.168 0.335
S 0.854 0.840 0.670
S 0.941 0.338 0.167
S 0.945 0.005 0.498
S 0.945 0.672 0.834
S 0.995 0.326 0.834
S 0.997 0.024 0.835
S 0.998 0.656 0.502
O 0.016 0.276 0.889
O 0.023 0.605 0.556
O 0.026 0.747 0.110
O 0.030 0.416 0.445
O 0.032 0.935 0.219
O 0.033 0.260 0.172
O 0.035 0.927 0.506
O 0.037 0.752 0.834
O 0.039 0.595 0.838
O 0.040 0.078 0.786
O 0.041 0.415 0.165
O 0.051 0.080 0.494
O 0.057 0.062 0.892
O 0.057 0.278 0.783
O 0.059 0.396 0.565
O 0.060 0.728 0.230
O 0.061 0.258 0.500
O 0.061 0.590 0.163
O 0.062 0.076 0.176
O 0.063 0.743 0.508
O 0.064 0.950 0.113
O 0.066 0.410 0.838
O 0.066 0.937 0.831
O 0.067 0.614 0.450
O 0.204 0.728 0.723
O 0.212 0.593 0.662
O 0.216 0.394 0.063
O 0.217 0.260 0.998
O 0.219 0.406 0.340
O 0.222 0.613 0.948
O 0.226 0.278 0.281
O 0.226 0.937 0.330
O 0.226 0.951 0.615
O 0.230 0.078 0.677
O 0.230 0.744 0.005
O 0.234 0.061 0.393
O 0.242 0.079 0.993
O 0.244 0.411 0.667
O 0.244 0.752 0.333
O 0.248 0.416 0.946
O 0.251 0.597 0.338
O 0.252 0.078 0.286
O 0.259 0.937 0.721
O 0.262 0.925 0.005
O 0.266 0.746 0.608
O 0.267 0.257 0.674
O 0.267 0.270 0.388
O 0.272 0.608 0.054
O 0.313 0.185 0.174
O 0.313 0.849 0.505
O 0.332 0.835 0.832
O 0.333 0.156 0.494
O 0.335 0.493 0.164
O 0.335 0.518 0.838
O 0.345 0.498 0.448
O 0.348 0.164 0.782
O 0.350 0.854 0.220
O 0.351 0.833 0.113
O 0.356 0.524 0.555
O 0.359 0.180 0.890
O 0.427 0.687 0.392
O 0.435 0.027 0.052
O 0.437 0.356 0.725
O 0.445 0.996 0.946
O 0.446 0.669 0.284
O 0.449 0.332 0.618
O 0.453 0.332 0.331
O 0.453 0.996 0.666
O 0.456 0.018 0.339
O 0.457 0.666 0.993
O 0.475 0.345 0.004
O 0.475 0.686 0.674
O 0.518 0.104 0.556
O 0.520 0.775 0.890
O 0.522 0.245 0.107
O 0.524 0.439 0.222
O 0.529 0.759 0.172
O 0.529 0.926 0.451
O 0.534 0.427 0.505
O 0.537 0.576 0.783
O 0.538 0.251 0.833
O 0.541 0.094 0.837
O 0.543 0.582 0.497
O 0.547 0.912 0.166
O 0.556 0.778 0.783
O 0.558 0.242 0.508
O 0.560 0.562 0.890
O 0.561 0.893 0.566
O 0.562 0.577 0.175
O 0.564 0.436 0.830
O 0.564 0.759 0.496
O 0.567 0.910 0.840
O 0.568 0.234 0.226
O 0.569 0.093 0.165
O 0.570 0.448 0.116
O 0.572 0.112 0.451
O 0.703 0.228 0.723
O 0.712 0.093 0.661
O 0.712 0.896 0.063
O 0.718 0.114 0.947
O 0.718 0.762 0.996
O 0.725 0.451 0.615
O 0.728 0.424 0.331
O 0.728 0.565 0.396
O 0.728 0.912 0.340
O 0.731 0.578 0.676
O 0.735 0.785 0.279
O 0.737 0.243 0.007
O 0.745 0.912 0.667
O 0.749 0.582 0.995
O 0.755 0.092 0.339
O 0.760 0.437 0.721
O 0.761 0.583 0.278
O 0.762 0.249 0.332
O 0.762 0.925 0.949
O 0.763 0.426 0.006
O 0.765 0.246 0.608
O 0.767 0.758 0.674
O 0.772 0.772 0.385
O 0.774 0.102 0.052
O 0.811 0.350 0.504
O 0.811 0.682 0.171
O 0.831 0.336 0.830
O 0.834 0.661 0.497
O 0.835 0.018 0.838
O 0.837 0.991 0.165
O 0.848 0.332 0.113
O 0.848 0.665 0.782
O 0.848 0.997 0.447
O 0.851 0.354 0.221
O 0.857 0.682 0.890
O 0.860 0.028 0.553
O 0.934 0.526 0.055
O 0.936 0.181 0.392
O 0.938 0.857 0.725
O 0.948 0.497 0.949
O 0.950 0.832 0.618
O 0.952 0.160 0.284
O 0.954 0.496 0.666
O 0.958 0.159 0.992
O 0.961 0.834 0.330
O 0.974 0.186 0.674
O 0.975 0.850 0.007
O 0.977 0.516 0.338


Entry 4:
This record from the Materials Project database describes a relaxed structure of CuSb2H12O6F8. The functional is PBE.

- energy of formation from the pure elements (eV per atom) = -1.73
- final energy (eV per atom) = -4.85

Lattice parameters (Å, degrees): 5.090 18.127 7.897 90.00 117.46 90.00
Space group P2_1/c (No. 14)
Symmetry-distinct sites (fractional):
Cu 0.000 0.000 0.000
Sb 0.377 0.218 0.491
H 0.165 0.589 0.784
H 0.170 0.112 0.857
H 0.259 0.555 0.324
H 0.271 0.617 0.471
H 0.421 0.022 0.671
H 0.492 0.060 0.343
O 0.030 0.070 0.813
O 0.142 0.578 0.386
O 0.481 0.525 0.243
F 0.194 0.724 0.849
F 0.433 0.176 0.901
F 0.433 0.190 0.266
F 0.481 0.101 0.551


Entry 5:
This record from the Materials Project database describes a relaxed structure of Ga2S3. The functional is PBE.

- energy of formation from the pure elements (eV per atom) = -0.96
- final energy (eV per atom) = -4.35

Lattice parameters (Å, degrees): 3.713 11.250 5.470 90.00 90.00 90.00
Space group Imm2 (No. 44)
Symmetry-distinct sites (fractional):
Ga 0.000 0.160 0.000
S 0.000 0.000 0.238
S 0.000 0.334 0.237


Entry 6:
This record from the Materials Project database describes a relaxed structure of InNi3. The functional is PBE.

- energy of formation from the pure elements (eV per atom) = -0.04
- final energy (eV per atom) = -5.06

Lattice parameters (Å, degrees): 3.730 3.730 3.730 90.00 90.00 90.00
Space group Pm-3m (No. 221)
Symmetry-distinct sites (fractional):
In 0.000 0.000 0.000
Ni 0.000 0.500 0.500


Which of these has the lowest final energy? U3Sb4Pt3


final energy of number 2 (ZrAl6Fe6)? -6.70 eV per atom